No. 1
Material: KBaPrBiO6
Method: DFT, PBE-GGA
State: relaxed

Unit cell a=8.8819 b=8.9182 c=8.8878 alpha=90.00 beta=90.00 gamma=90.00
Last column: nearest neighbours and their distance in Å.
Fractional positions:
K (0.0000, 0.5000, 0.5000)  4 O 2.91
K (0.5000, 0.0000, 0.5000)  4 O 2.87
K (0.5000, 0.0000, 0.0000)  4 O 2.91
K (0.0000, 0.5000, 0.0000)  4 O 2.87
Ba (0.5000, 0.5000, 0.0000)  4 O 2.80
Ba (0.0000, 0.0000, 0.5000)  4 O 2.80
Ba (0.0000, 0.0000, 0.0000)  12 O 3.06-3.15
Ba (0.5000, 0.5000, 0.5000)  12 O 3.06-3.15
Pr (0.2500, 0.2500, 0.2500)  6 O 2.35-2.36
Pr (0.7500, 0.7500, 0.2500)  6 O 2.35-2.36
Pr (0.7500, 0.2500, 0.7500)  6 O 2.35-2.36
Pr (0.2500, 0.7500, 0.7500)  6 O 2.35-2.36
Bi (0.7500, 0.7500, 0.7500)  6 O 2.12-2.14
Bi (0.2500, 0.2500, 0.7500)  6 O 2.12-2.14
Bi (0.2500, 0.7500, 0.2500)  6 O 2.12-2.14
Bi (0.7500, 0.2500, 0.2500)  6 O 2.12-2.14
O (0.9875, 0.2144, 0.2701)  1 Bi 2.14, 1 Pr 2.36
O (0.0125, 0.7856, 0.2701)  1 Bi 2.14, 1 Pr 2.36
O (0.0125, 0.2144, 0.7299)  1 Bi 2.14, 1 Pr 2.36
O (0.9875, 0.7856, 0.7299)  1 Bi 2.14, 1 Pr 2.36
O (0.2616, 0.9872, 0.2236)  1 Bi 2.13, 1 Pr 2.36
O (0.2616, 0.0128, 0.7764)  1 Bi 2.13, 1 Pr 2.36
O (0.7384, 0.0128, 0.2236)  1 Bi 2.13, 1 Pr 2.36
O (0.7384, 0.9872, 0.7764)  1 Bi 2.13, 1 Pr 2.36
O (0.2270, 0.2716, 0.9869)  1 Bi 2.12, 1 Pr 2.35
O (0.7730, 0.2716, 0.0131)  1 Bi 2.12, 1 Pr 2.35
O (0.2270, 0.7284, 0.0131)  1 Bi 2.12, 1 Pr 2.35
O (0.7730, 0.7284, 0.9869)  1 Bi 2.12, 1 Pr 2.35
O (0.5125, 0.2856, 0.2299)  1 Bi 2.14, 1 Pr 2.36
O (0.4875, 0.7144, 0.2299)  1 Bi 2.14, 1 Pr 2.36
O (0.4875, 0.2856, 0.7701)  1 Bi 2.14, 1 Pr 2.36
O (0.5125, 0.7144, 0.7701)  1 Bi 2.14, 1 Pr 2.36
O (0.2384, 0.5128, 0.2764)  1 Bi 2.13, 1 Pr 2.36
O (0.2384, 0.4872, 0.7236)  1 Bi 2.13, 1 Pr 2.36
O (0.7616, 0.4872, 0.2764)  1 Bi 2.13, 1 Pr 2.36
O (0.7616, 0.5128, 0.7236)  1 Bi 2.13, 1 Pr 2.36
O (0.2730, 0.2284, 0.5131)  1 Bi 2.12, 1 Pr 2.35
O (0.7270, 0.2284, 0.4869)  1 Bi 2.12, 1 Pr 2.35
O (0.2730, 0.7716, 0.4869)  1 Bi 2.12, 1 Pr 2.35
O (0.7270, 0.7716, 0.5131)  1 Bi 2.12, 1 Pr 2.35

Values from the calculation:
- Energy of formation: -2.33 eV per atom
- E_tot: -242.11 eV/cell
- Total magnetization: 1.0 μB/f.u.
- Energy above the most stable polymorph in this dataset: 0 meV per atom
- Crystal system: orthorhombic

---

No. 2
Material: KBa2SmBi2O9
Method: DFT, PBE-GGA
State: relaxed

Unit cell a=6.4797 b=6.4797 c=8.5963 alpha=90.00 beta=90.00 gamma=120.00
Last column: nearest neighbours and their distance in Å.
Fractional positions:
K (0.0000, 0.0000, 0.0000)  6 O 2.69
Ba (0.6667, 0.3333, 0.2240)  3 O 2.39
Ba (0.3333, 0.6667, 0.7760)  3 O 2.39
Sm (0.0000, 0.0000, 0.5000)  6 O 2.42
Bi (0.6667, 0.3333, 0.6336)  3 O 2.20
Bi (0.3333, 0.6667, 0.3664)  3 O 2.20
O (0.7538, 0.8769, 0.7318)  1 Ba 2.39, 2 O 2.39, 1 Sm 2.42
O (0.2462, 0.1231, 0.2682)  1 Ba 2.39, 2 O 2.39, 1 Sm 2.42
O (0.0000, 0.5000, 0.5000)  2 Bi 2.20
O (0.5000, 0.0000, 0.5000)  2 Bi 2.20
O (0.1231, 0.2462, 0.7318)  1 Ba 2.39, 2 O 2.39, 1 Sm 2.42
O (0.8769, 0.7538, 0.2682)  1 Ba 2.39, 2 O 2.39, 1 Sm 2.42
O (0.5000, 0.5000, 0.5000)  2 Bi 2.20
O (0.1231, 0.8769, 0.7318)  1 Ba 2.39, 2 O 2.39, 1 Sm 2.42
O (0.8769, 0.1231, 0.2682)  1 Ba 2.39, 2 O 2.39, 1 Sm 2.42

Values from the calculation:
- Energy of formation: -1.63 eV per atom
- E_tot: -80.30 eV/cell
- Total magnetization: 4.0 μB/f.u.
- Crystal system: trigonal